# 1
Nd2Ni7 | PBE-GGA | relaxed

* final energy: -5.8610 eV/atom
* crystal system: hexagonal
* V: 14.83 Å³ per atom
* magnetic moment: 1.2 μB per formula unit

Unit cell a=5.0169 b=5.0169 c=24.4964 alpha=90.00 beta=90.00 gamma=120.00
Space group P6_3/mmc (No. 194)
Asymmetric unit:
Nd: 0.3333 0.6667 0.0299 [4 per cell]
Nd: 0.3333 0.6667 0.1745 [4 per cell]
Ni: 0.0000 0.0000 0.0000 [2 per cell]
Ni: 0.0000 0.0000 0.1690 [4 per cell]
Ni: 0.1660 0.3320 0.5872 [12 per cell]
Ni: 0.1676 0.3351 0.7500 [6 per cell]
Ni: 0.3333 0.6667 0.6675 [4 per cell]

***

# 2
MgNi4Sb4S4 | PBE-GGA | relaxed

* final energy: -4.6417 eV/atom
* crystal system: triclinic
* V: 18.44 Å³ per atom
* magnetic moment: 0.0 μB per formula unit

Unit cell a=6.2503 b=6.2582 c=6.2745 alpha=82.57 beta=82.41 gamma=82.73
Space group P1 (No. 1)
Asymmetric unit:
Mg: 0.0000 0.0000 0.0000 [1 per cell]
Ni: 0.3279 0.8048 0.3307 [1 per cell]
Ni: 0.3290 0.3217 0.8084 [1 per cell]
Ni: 0.7811 0.7769 0.7797 [1 per cell]
Ni: 0.8112 0.3270 0.3263 [1 per cell]
Sb: 0.2276 0.2207 0.2258 [1 per cell]
Sb: 0.4034 0.6716 0.9394 [1 per cell]
Sb: 0.6790 0.9347 0.4040 [1 per cell]
Sb: 0.9387 0.4012 0.6752 [1 per cell]
S: 0.1350 0.8580 0.6507 [1 per cell]
S: 0.4510 0.4470 0.4503 [1 per cell]
S: 0.6486 0.1284 0.8588 [1 per cell]
S: 0.8613 0.6463 0.1304 [1 per cell]

***

# 3
CaAgO2 | PBE-GGA | relaxed

* final energy: -5.2456 eV/atom
* crystal system: orthorhombic
* V: 13.83 Å³ per atom

Unit cell a=6.9349 b=9.2255 c=3.4586 alpha=90.00 beta=90.00 gamma=90.00
Space group Cmme (No. 67)
Asymmetric unit:
Ca: 0.0000 0.0000 0.0000 [4 per cell]
Ag: 0.2500 0.2500 0.5000 [4 per cell]
O: 0.0000 0.2500 0.1344 [4 per cell]
O: 0.2500 0.0000 0.5000 [4 per cell]

***

# 4
Er2B4O9 | PBE-GGA | relaxed

* final energy: -8.2352 eV/atom
* crystal system: triclinic
* V: 9.27 Å³ per atom
* magnetic moment: 0.0 μB per formula unit

Unit cell a=6.1746 b=6.4294 c=7.4720 alpha=102.59 beta=97.17 gamma=102.41
Space group P-1 (No. 2)
Asymmetric unit:
Er: 0.0499 0.0907 0.2878 [2 per cell]
Er: 0.3872 0.6771 0.3599 [2 per cell]
B: 0.1264 0.3566 0.6505 [2 per cell]
B: 0.1615 0.6829 0.9274 [2 per cell]
B: 0.2314 0.3335 0.9814 [2 per cell]
B: 0.4943 0.1449 0.1903 [2 per cell]
O: 0.0049 0.7921 0.0214 [2 per cell]
O: 0.0390 0.5378 0.7475 [2 per cell]
O: 0.0805 0.8184 0.4462 [2 per cell]
O: 0.2644 0.2629 0.7881 [2 per cell]
O: 0.2740 0.5723 0.0430 [2 per cell]
O: 0.2812 0.4048 0.5213 [2 per cell]
O: 0.3121 0.8692 0.8786 [2 per cell]
O: 0.3603 0.2825 0.1445 [2 per cell]
O: 0.4296 0.0433 0.3258 [2 per cell]

***

# 5
BaCaPrSbO6 | PBE-GGA | relaxed

* final energy: -6.7188 eV/atom
* crystal system: cubic
* V: 14.85 Å³ per atom
* magnetic moment: 0.0 μB per formula unit

Unit cell a=8.4055 b=8.4055 c=8.4055 alpha=90.00 beta=90.00 gamma=90.00
Space group F-43m (No. 216)
Asymmetric unit:
Ba: 0.0000 0.0000 0.0000 [4 per cell]
Ca: 0.2500 0.2500 0.7500 [4 per cell]
Pr: 0.0000 0.0000 0.5000 [4 per cell]
Sb: 0.2500 0.2500 0.2500 [4 per cell]
O: 0.0137 0.2500 0.2500 [24 per cell]

***

# 6
CrGaFe2 | PBE-GGA | relaxed

* final energy: -7.3276 eV/atom
* crystal system: orthorhombic
* V: 12.36 Å³ per atom
* magnetic moment: 4.3 μB per formula unit

Unit cell a=2.9998 b=4.1210 c=7.9987 alpha=90.00 beta=90.00 gamma=90.00
Space group Cmm2 (No. 35)
Asymmetric unit:
Cr: 0.0000 0.0000 0.0000 [2 per cell]
Ga: 0.0000 0.5000 0.2596 [2 per cell]
Fe: 0.0000 0.0000 0.5139 [2 per cell]
Fe: 0.0000 0.5000 0.7578 [2 per cell]

***

# 7
LiAgF4 | PBE-GGA | relaxed

* final energy: -3.7049 eV/atom
* crystal system: monoclinic
* V: 14.67 Å³ per atom
* magnetic moment: 0.0 μB per formula unit

Unit cell a=11.5235 b=5.7859 c=5.5620 alpha=90.00 beta=108.32 gamma=90.00
Space group C2/c (No. 15)
Asymmetric unit:
Li: 0.0000 0.1039 0.2500 [4 per cell]
Ag: 0.2500 0.2500 0.0000 [4 per cell]
F: 0.1058 0.0776 0.0305 [8 per cell]
F: 0.1478 0.4151 0.7027 [8 per cell]

***

# 8
Er3Sb4Pd8 | PBE-GGA | relaxed

* final energy: -5.6052 eV/atom
* crystal system: cubic
* V: 19.41 Å³ per atom
* magnetic moment: 0.0 μB per formula unit

Unit cell a=13.2566 b=13.2566 c=13.2566 alpha=90.00 beta=90.00 gamma=90.00
Space group Fm-3m (No. 225)
Asymmetric unit:
Er: 0.0000 0.0000 0.2244 [24 per cell]
Sb: 0.0000 0.0000 0.0000 [4 per cell]
Sb: 0.0000 0.0000 0.5000 [4 per cell]
Sb: 0.0000 0.2500 0.2500 [24 per cell]
Pd: 0.1187 0.1187 0.3813 [32 per cell]
Pd: 0.1662 0.1662 0.1662 [32 per cell]

***

Calculated formation enthalpy at 0 K (kJ per mole of atoms), listed in the same order as above: -30, -34, -184, -317, -278, 7, -188, -80